This record from the Materials Project describes Li24Ti5Cr7O36 after structural relaxation. The functional is PBE+U.

Properties
Space-group type: No. 1
Excess energy over the best structure of this formula in the dataset (eV/f.u.): 0.18
Energy relative to the elements (eV/atom): -2.541

a = 5.058 Å, b = 9.801 Å, c = 13.372 Å
α = 80.65°, β = 79.35°, γ = 85.22°
Fractional coordinates of all 72 atoms:
Li: 0.000 0.000 0.000
Li: 0.015 0.750 0.696
Li: 0.033 0.500 0.392
Li: 0.094 0.001 0.781
Li: 0.162 0.499 0.167
Li: 0.181 0.250 0.863
Li: 0.202 0.000 0.560
Li: 0.257 0.500 0.949
Li: 0.332 0.000 0.334
Li: 0.347 0.749 0.030
Li: 0.367 0.498 0.726
Li: 0.422 0.001 0.115
Li: 0.497 0.499 0.501
Li: 0.516 0.250 0.198
Li: 0.533 0.000 0.894
Li: 0.589 0.499 0.281
Li: 0.659 0.000 0.667
Li: 0.682 0.750 0.364
Li: 0.701 0.499 0.060
Li: 0.759 0.998 0.447
Li: 0.826 0.500 0.834
Li: 0.847 0.251 0.531
Li: 0.866 0.000 0.227
Li: 0.926 0.500 0.614
Ti: 0.123 0.749 0.474
Ti: 0.451 0.753 0.810
Ti: 0.628 0.246 0.973
Ti: 0.794 0.746 0.141
Ti: 0.955 0.251 0.307
Cr: 0.072 0.250 0.086
Cr: 0.240 0.751 0.253
Cr: 0.283 0.252 0.644
Cr: 0.403 0.248 0.422
Cr: 0.571 0.749 0.587
Cr: 0.732 0.251 0.750
Cr: 0.899 0.750 0.918
O: 0.003 0.638 0.041
O: 0.023 0.864 0.352
O: 0.053 0.365 0.731
O: 0.099 0.862 0.138
O: 0.101 0.137 0.425
O: 0.137 0.635 0.831
O: 0.170 0.138 0.206
O: 0.193 0.362 0.521
O: 0.219 0.867 0.899
O: 0.265 0.361 0.305
O: 0.268 0.638 0.592
O: 0.314 0.133 0.994
O: 0.336 0.637 0.373
O: 0.354 0.864 0.685
O: 0.373 0.364 0.066
O: 0.427 0.137 0.753
O: 0.433 0.861 0.471
O: 0.479 0.634 0.161
O: 0.501 0.140 0.541
O: 0.527 0.363 0.849
O: 0.542 0.864 0.232
O: 0.593 0.635 0.924
O: 0.601 0.362 0.639
O: 0.648 0.132 0.328
O: 0.669 0.638 0.707
O: 0.695 0.862 0.016
O: 0.708 0.364 0.400
O: 0.767 0.137 0.091
O: 0.769 0.862 0.805
O: 0.815 0.633 0.494
O: 0.835 0.137 0.874
O: 0.855 0.364 0.186
O: 0.874 0.865 0.567
O: 0.933 0.362 0.971
O: 0.933 0.637 0.258
O: 0.971 0.137 0.664